A plane-wave DFT calculation with PBE+U was carried out for a relaxed Cr2S3O12 crystal.

a = 8.6280 Å, b = 8.2781 Å, c = 14.2818 Å
α = 55.21°, β = 90.00°, γ = 90.00°
Last column: nearest neighbours and their distance in Å.
Sites, in units of the cell vectors:
S 0.1198 0.7420 0.6509  4 O 1.47-1.49
S 0.2524 0.4528 0.0075  4 O 1.47-1.49
S 0.1131 0.0303 0.8546  4 O 1.48-1.49
S 0.7476 0.5472 0.9925  4 O 1.47-1.49
S 0.3802 0.7420 0.1509  4 O 1.47-1.49
S 0.8802 0.2580 0.3491  4 O 1.47-1.49
S 0.3869 0.0303 0.3546  4 O 1.48-1.49
S 0.8869 0.9697 0.1454  4 O 1.48-1.49
S 0.6198 0.2580 0.8491  4 O 1.47-1.49
S 0.2476 0.4528 0.5075  4 O 1.47-1.49
S 0.7524 0.5472 0.4925  4 O 1.47-1.49
S 0.6131 0.9697 0.6454  4 O 1.48-1.49
O 0.4158 0.8385 0.0292  1 S 1.47
O 0.0032 0.1164 0.7583  1 S 1.48
O 0.9968 0.8836 0.2417  1 S 1.48
O 0.6780 0.5457 0.3989  1 S 1.49
O 0.3602 0.4864 0.4200  1 S 1.48
O 0.7899 0.2884 0.8310  1 S 1.49
O 0.7301 0.9771 0.1850  1 S 1.48
O 0.8220 0.5457 0.8989  1 S 1.49
O 0.1763 0.2566 0.5586  1 S 1.48
O 0.9376 0.1735 0.0557  1 S 1.49
O 0.4257 0.8726 0.1860  1 S 1.48
O 0.0842 0.8385 0.5292  1 S 1.47
O 0.5032 0.8836 0.7417  1 S 1.48
O 0.2899 0.7116 0.6690  1 S 1.49
O 0.3713 0.6067 0.9472  1 S 1.47
O 0.4376 0.8265 0.4443  1 S 1.49
O 0.0624 0.8265 0.9443  1 S 1.49
O 0.3237 0.2566 0.0586  1 S 1.48
O 0.6137 0.8447 0.6014  1 S 1.49
O 0.0330 0.5538 0.7198  1 S 1.49
O 0.2301 0.0229 0.3150  1 S 1.48
O 0.8602 0.5136 0.0800  1 S 1.48
O 0.8863 0.8447 0.1014  1 S 1.49
O 0.1287 0.6067 0.4472  1 S 1.47
O 0.1398 0.4864 0.9200  1 S 1.48
O 0.6287 0.3933 0.0528  1 S 1.47
O 0.8713 0.3933 0.5528  1 S 1.47
O 0.9257 0.1274 0.3140  1 S 1.48
O 0.9158 0.1615 0.4708  1 S 1.47
O 0.2699 0.0229 0.8150  1 S 1.48
O 0.2101 0.7116 0.1690  1 S 1.49
O 0.7101 0.2884 0.3310  1 S 1.49
O 0.5743 0.1274 0.8140  1 S 1.48
O 0.7699 0.9771 0.6850  1 S 1.48
O 0.4670 0.5538 0.2198  1 S 1.49
O 0.6763 0.7434 0.9414  1 S 1.48
O 0.3863 0.1553 0.3986  1 S 1.49
O 0.1137 0.1553 0.8986  1 S 1.49
O 0.6398 0.5136 0.5800  1 S 1.48
O 0.5842 0.1615 0.9708  1 S 1.47
O 0.8237 0.7434 0.4414  1 S 1.48
O 0.4968 0.1164 0.2583  1 S 1.48
O 0.5330 0.4462 0.7802  1 S 1.49
O 0.3220 0.4543 0.6011  1 S 1.49
O 0.9670 0.4462 0.2802  1 S 1.49
O 0.5624 0.1735 0.5557  1 S 1.49
O 0.0743 0.8726 0.6860  1 S 1.48
O 0.1780 0.4543 0.1011  1 S 1.49
Cr 0.9670 0.1323 0.6154  6 O 1.99-2.02
Cr 0.5303 0.3631 0.3882  6 O 1.98-2.06
Cr 0.0303 0.6369 0.1118  6 O 1.98-2.06
Cr 0.9697 0.3631 0.8882  6 O 1.98-2.06
Cr 0.4697 0.6369 0.6118  6 O 1.98-2.06
Cr 0.4670 0.8677 0.8846  6 O 1.99-2.02
Cr 0.0330 0.8677 0.3846  6 O 1.99-2.02
Cr 0.5330 0.1323 0.1154  6 O 1.99-2.02

Output
ΔE to the lowest computed polymorph: 10 meV/atom
Spin magnetization: 6.00 μB/f.u.
Energy of formation: -3287 kJ/mol of formula units